[1]
The following is a DFT calculation (PBE) of a relaxed structure of Na14Ti2Zn6Si5S7O48.

abc: 18.157 9.090 22.169
angles: 89.97 89.95 120.15
Element x y z (fractional)
Na 0.813 0.006 0.249
Na 0.689 0.362 0.246
Na 0.500 0.637 0.246
Na 0.311 0.618 0.749
Na 0.000 0.365 0.743
Na 0.182 0.002 0.744
Na 0.153 0.330 0.576
Na 0.670 0.365 0.584
Na 0.014 0.690 0.572
Na 0.520 0.683 0.592
Na 0.324 0.978 0.585
Na 0.827 0.965 0.593
Na 0.164 0.967 0.079
Na 0.659 0.982 0.070
Na 0.322 0.687 0.087
Na 0.826 0.673 0.080
Na 0.019 0.357 0.087
Na 0.513 0.335 0.068
Na 0.484 0.667 0.919
Na 0.977 0.661 0.913
Na 0.354 0.044 0.921
Na 0.851 0.045 0.911
Na 0.167 0.291 0.913
Na 0.663 0.290 0.924
Na 0.478 0.300 0.426
Na 0.985 0.303 0.424
Na 0.160 0.032 0.429
Na 0.670 0.048 0.420
Na 0.348 0.656 0.418
Na 0.855 0.663 0.424
Na 0.003 0.987 0.499
Na 0.505 0.011 0.500
Na 0.004 0.999 0.993
Na 0.503 0.018 0.992
Na 0.339 0.333 0.829
Na 0.826 0.332 0.824
Na 0.317 0.321 0.330
Na 0.842 0.346 0.331
Na 0.168 0.672 0.161
Na 0.668 0.662 0.164
Na 0.162 0.672 0.667
Na 0.672 0.668 0.663
Ti 0.006 0.982 0.651
Ti 0.510 0.027 0.645
Ti 0.010 0.995 0.145
Ti 0.505 0.010 0.147
Ti 0.160 0.643 0.320
Ti 0.661 0.677 0.820
Zn 0.009 0.006 0.354
Zn 0.506 0.006 0.337
Zn 0.007 0.989 0.825
Zn 0.508 0.011 0.854
Zn 0.327 0.314 0.678
Zn 0.830 0.350 0.680
Zn 0.316 0.308 0.172
Zn 0.828 0.339 0.178
Zn 0.331 0.306 0.990
Zn 0.824 0.336 0.989
Zn 0.324 0.316 0.492
Zn 0.833 0.355 0.496
Zn 0.166 0.666 0.023
Zn 0.659 0.649 0.009
Zn 0.158 0.667 0.510
Zn 0.667 0.672 0.526
Zn 0.665 0.681 0.314
Zn 0.157 0.649 0.808
Si 0.651 0.003 0.251
Si 0.152 0.296 0.750
Si 0.994 0.684 0.754
Si 0.476 0.333 0.582
Si 0.182 0.021 0.584
Si 0.691 0.050 0.583
Si 0.837 0.644 0.583
Si 0.976 0.619 0.082
Si 0.337 0.034 0.084
Si 0.187 0.335 0.081
Si 0.682 0.342 0.086
Si 0.514 0.367 0.917
Si 0.669 0.967 0.923
Si 0.169 0.371 0.423
Si 0.014 0.662 0.417
S 0.149 0.995 0.251
S 0.350 0.702 0.252
S 0.855 0.715 0.252
S 0.004 0.292 0.252
S 0.499 0.295 0.251
S 0.647 0.304 0.752
S 0.504 0.716 0.752
S 0.358 0.999 0.752
S 0.848 0.988 0.753
S 0.983 0.326 0.585
S 0.339 0.644 0.586
S 0.482 0.637 0.089
S 0.839 0.033 0.087
S 0.312 0.665 0.915
S 0.812 0.673 0.915
S 0.017 0.367 0.918
S 0.167 0.957 0.916
S 0.315 0.955 0.411
S 0.813 0.962 0.415
S 0.663 0.375 0.412
S 0.517 0.669 0.415
O 0.107 0.006 0.306
O 0.613 0.033 0.313
O 0.399 0.788 0.308
O 0.899 0.806 0.307
O 0.488 0.201 0.308
O 0.997 0.193 0.307
O 0.112 0.193 0.813
O 0.605 0.209 0.807
O 0.497 0.800 0.807
O 0.981 0.761 0.817
O 0.403 0.000 0.807
O 0.899 0.005 0.809
O 0.406 0.989 0.698
O 0.893 0.976 0.698
O 0.085 0.183 0.694
O 0.592 0.207 0.698
O 0.004 0.822 0.698
O 0.513 0.819 0.697
O 0.396 0.807 0.198
O 0.902 0.820 0.197
O 0.012 0.206 0.197
O 0.503 0.194 0.199
O 0.095 0.984 0.197
O 0.583 0.985 0.196
O 0.433 0.380 0.636
O 0.941 0.342 0.639
O 0.240 0.100 0.643
O 0.756 0.134 0.638
O 0.328 0.542 0.640
O 0.812 0.507 0.635
O 0.440 0.540 0.143
O 0.934 0.487 0.137
O 0.320 0.123 0.141
O 0.827 0.110 0.142
O 0.251 0.394 0.138
O 0.739 0.376 0.146
O 0.221 0.277 0.022
O 0.715 0.283 0.026
O 0.433 0.556 0.033
O 0.917 0.561 0.021
O 0.368 0.152 0.023
O 0.853 0.138 0.032
O 0.216 0.142 0.524
O 0.720 0.163 0.520
O 0.354 0.569 0.531
O 0.866 0.585 0.521
O 0.419 0.278 0.520
O 0.934 0.313 0.529
O 0.271 0.684 0.970
O 0.774 0.682 0.973
O 0.069 0.453 0.972
O 0.569 0.438 0.978
O 0.164 0.865 0.972
O 0.659 0.854 0.982
O 0.280 0.866 0.469
O 0.768 0.854 0.467
O 0.161 0.466 0.482
O 0.659 0.462 0.467
O 0.070 0.704 0.477
O 0.571 0.687 0.468
O 0.077 0.649 0.361
O 0.557 0.654 0.358
O 0.260 0.853 0.360
O 0.765 0.882 0.358
O 0.176 0.498 0.362
O 0.666 0.470 0.356
O 0.059 0.462 0.862
O 0.577 0.506 0.862
O 0.170 0.868 0.861
O 0.677 0.855 0.863
O 0.262 0.653 0.860
O 0.757 0.664 0.864
O 0.002 0.827 0.408
O 0.506 0.822 0.414
O 0.403 0.976 0.406
O 0.900 0.982 0.413
O 0.082 0.187 0.416
O 0.583 0.201 0.413
O 0.005 0.192 0.917
O 0.502 0.178 0.909
O 0.089 0.975 0.917
O 0.583 0.979 0.916
O 0.400 0.818 0.913
O 0.898 0.828 0.912
O 0.486 0.156 0.596
O 0.989 0.168 0.587
O 0.086 0.004 0.592
O 0.592 0.033 0.597
O 0.420 0.818 0.591
O 0.920 0.837 0.595
O 0.487 0.811 0.090
O 0.986 0.815 0.097
O 0.420 0.005 0.098
O 0.919 0.019 0.092
O 0.091 0.154 0.096
O 0.585 0.167 0.095
O 0.349 0.151 0.750
O 0.840 0.141 0.751
O 0.247 0.318 0.743
O 0.730 0.316 0.747
O 0.427 0.547 0.749
O 0.917 0.491 0.744
O 0.346 0.535 0.250
O 0.846 0.545 0.251
O 0.429 0.332 0.246
O 0.927 0.308 0.249
O 0.233 0.149 0.247
O 0.747 0.169 0.243
O 0.319 0.509 0.918
O 0.818 0.515 0.911
O 0.424 0.368 0.915
O 0.932 0.355 0.921
O 0.245 0.130 0.915
O 0.757 0.154 0.920
O 0.321 0.124 0.409
O 0.820 0.132 0.418
O 0.256 0.360 0.419
O 0.739 0.356 0.411
O 0.432 0.512 0.419
O 0.925 0.481 0.415
O 0.163 0.482 0.074
O 0.670 0.507 0.079
O 0.074 0.667 0.077
O 0.569 0.666 0.087
O 0.255 0.844 0.078
O 0.765 0.860 0.082
O 0.171 0.832 0.578
O 0.665 0.851 0.578
O 0.266 0.670 0.580
O 0.756 0.673 0.576
O 0.070 0.477 0.583
O 0.575 0.484 0.577
O 0.155 0.838 0.250
O 0.653 0.823 0.249
O 0.264 0.684 0.253
O 0.768 0.697 0.249
O 0.083 0.466 0.254
O 0.582 0.459 0.250
O 0.159 0.483 0.748
O 0.653 0.473 0.751
O 0.088 0.696 0.750
O 0.584 0.701 0.755
O 0.273 0.842 0.748
O 0.762 0.829 0.756

Properties
V	12.86	A^3/atom
total energy	-492.14	eV per formula unit
space-group type	No. 1
formation energy	-2.31	eV per atom



[2]
The following is a DFT calculation (PBE) of a relaxed structure of ZrNbFe4.

abc: 4.925 4.925 8.047
angles: 90.00 90.00 120.00
Element x y z (fractional)
Zr 0.333 0.667 0.067
Zr 0.667 0.333 0.933
Nb 0.667 0.333 0.556
Nb 0.333 0.667 0.444
Fe 0.000 0.000 0.500
Fe 0.000 0.000 0.000
Fe 0.168 0.336 0.745
Fe 0.168 0.832 0.744
Fe 0.664 0.832 0.745
Fe 0.832 0.664 0.255
Fe 0.832 0.168 0.256
Fe 0.336 0.168 0.255

Properties
V	14.08	A^3/atom
total energy	-53.62	eV per formula unit
space-group type	No. 164
formation energy	-0.18	eV per atom